No. 1
# Li8Co5O10, optimized geometry, DFT PBE with a Hubbard U
# E_form ... -1712 meV/atom
# Energy relative to the lowest polymorph listed for this composition ... 2 meV/atom
# Electronic total energy ... -5.418 eV per atom
data_Li8Co5O10
_cell_length_a 6.648
_cell_length_b 8.646
_cell_length_c 10.085
_cell_angle_alpha 112.67
_cell_angle_beta 103.37
_cell_angle_gamma 94.82
_space_group_name_H-M_alt 'P -1'
_space_group_IT_number 2
loop_
_space_group_symop_operation_xyz
'x,y,z'
'-x,-y,-z'
loop_
_atom_site_label
_atom_site_type_symbol
_atom_site_fract_x
_atom_site_fract_y
_atom_site_fract_z
Li1 Li 0.045 0.169 0.059
Li2 Li 0.076 0.449 0.257
Li3 Li 0.182 0.341 0.645
Li4 Li 0.189 0.031 0.541
Li5 Li 0.310 0.961 0.947
Li6 Li 0.313 0.658 0.853
Li7 Li 0.420 0.550 0.245
Li8 Li 0.450 0.832 0.447
Co1 Co 0.000 0.500 0.000
Co2 Co 0.099 0.097 0.298
Co3 Co 0.188 0.694 0.592
Co4 Co 0.309 0.306 0.907
Co5 Co 0.400 0.902 0.201
Co6 Co 0.500 0.500 0.500
O1 O 0.011 0.837 0.527
O2 O 0.095 0.771 0.778
O3 O 0.137 0.460 0.850
O4 O 0.186 0.387 0.079
O5 O 0.189 0.991 0.114
O6 O 0.313 0.610 0.421
O7 O 0.331 0.998 0.379
O8 O 0.364 0.537 0.649
O9 O 0.417 0.221 0.724
O10 O 0.494 0.160 0.963

No. 2
# Li5CoO4, optimized geometry, DFT PBE with a Hubbard U
# E_form ... -1883 meV/atom
# Energy relative to the lowest polymorph listed for this composition ... 40 meV/atom
# Electronic total energy ... -5.089 eV per atom
data_Li5CoO4
_cell_length_a 7.081
_cell_length_b 7.993
_cell_length_c 6.683
_cell_angle_alpha 90.00
_cell_angle_beta 90.00
_cell_angle_gamma 90.00
_space_group_name_H-M_alt 'P n n m'
_space_group_IT_number 58
loop_
_space_group_symop_operation_xyz
'x,y,z'
'-x,-y,-z'
'-x,-y,z'
'x,y,-z'
'x+1/2,-y+1/2,-z+1/2'
'-x+1/2,y+1/2,z+1/2'
'-x+1/2,y+1/2,-z+1/2'
'x+1/2,-y+1/2,z+1/2'
loop_
_atom_site_label
_atom_site_type_symbol
_atom_site_fract_x
_atom_site_fract_y
_atom_site_fract_z
Li1 Li 0.000 0.000 0.243
Li2 Li 0.022 0.344 0.245
Li3 Li 0.242 0.704 0.000
Li4 Li 0.244 0.902 0.500
Co1 Co 0.232 0.603 0.500
O1 O 0.023 0.763 0.500
O2 O 0.031 0.216 0.000
O3 O 0.218 0.524 0.240

No. 3
# Li8Co5O10, optimized geometry, DFT PBE with a Hubbard U
# E_form ... -1712 meV/atom
# Energy relative to the lowest polymorph listed for this composition ... 2 meV/atom
# Electronic total energy ... -5.418 eV per atom
data_Li8Co5O10
_cell_length_a 6.654
_cell_length_b 8.652
_cell_length_c 10.102
_cell_angle_alpha 105.89
_cell_angle_beta 103.37
_cell_angle_gamma 104.53
_space_group_name_H-M_alt 'P -1'
_space_group_IT_number 2
loop_
_space_group_symop_operation_xyz
'x,y,z'
'-x,-y,-z'
loop_
_atom_site_label
_atom_site_type_symbol
_atom_site_fract_x
_atom_site_fract_y
_atom_site_fract_z
Li1 Li 0.058 0.167 0.050
Li2 Li 0.124 0.658 0.582
Li3 Li 0.155 0.551 0.334
Li4 Li 0.223 0.034 0.866
Li5 Li 0.271 0.964 0.630
Li6 Li 0.345 0.450 0.169
Li7 Li 0.377 0.341 0.913
Li8 Li 0.438 0.830 0.447
Co1 Co 0.000 0.500 0.000
Co2 Co 0.103 0.903 0.303
Co3 Co 0.206 0.304 0.609
Co4 Co 0.293 0.693 0.892
Co5 Co 0.397 0.098 0.199
Co6 Co 0.500 0.500 0.500
O1 O 0.024 0.387 0.132
O2 O 0.096 0.005 0.147
O3 O 0.121 0.771 0.436
O4 O 0.208 0.460 0.493
O5 O 0.214 0.163 0.731
O6 O 0.293 0.539 0.007
O7 O 0.303 0.839 0.772
O8 O 0.378 0.220 0.069
O9 O 0.422 0.010 0.349
O10 O 0.474 0.610 0.367

No. 4
# Li2Co3O6, optimized geometry, DFT PBE with a Hubbard U
# E_form ... -1493 meV/atom
# Energy relative to the lowest polymorph listed for this composition ... 85 meV/atom
# Electronic total energy ... -5.656 eV per atom
data_Li2Co3O6
_cell_length_a 5.046
_cell_length_b 8.683
_cell_length_c 5.201
_cell_angle_alpha 90.00
_cell_angle_beta 110.30
_cell_angle_gamma 90.00
_space_group_name_H-M_alt 'C 1 2 1'
_space_group_IT_number 5
loop_
_space_group_symop_operation_xyz
'x,y,z'
'-x,y,-z'
'x+1/2,y+1/2,z'
'-x+1/2,y+1/2,-z'
loop_
_atom_site_label
_atom_site_type_symbol
_atom_site_fract_x
_atom_site_fract_y
_atom_site_fract_z
Li1 Li 0.000 0.000 0.000
Li2 Li 0.000 0.346 0.000
Co1 Co 0.000 0.171 0.500
Co2 Co 0.000 0.514 0.500
Co3 Co 0.000 0.844 0.500
O1 O 0.221 0.995 0.728
O2 O 0.241 0.680 0.705
O3 O 0.244 0.354 0.701

No. 5
# Li2CoO2, optimized geometry, DFT PBE with a Hubbard U
# E_form ... -1670 meV/atom
# Energy relative to the lowest polymorph listed for this composition ... 73 meV/atom
# Electronic total energy ... -5.232 eV per atom
data_Li2CoO2
_cell_length_a 2.828
_cell_length_b 3.882
_cell_length_c 8.851
_cell_angle_alpha 90.00
_cell_angle_beta 90.00
_cell_angle_gamma 90.00
_space_group_name_H-M_alt 'I m m m'
_space_group_IT_number 71
_space_group_name_Hall '-I 2 2'
loop_
_atom_site_label
_atom_site_type_symbol
_atom_site_fract_x
_atom_site_fract_y
_atom_site_fract_z
Li1 Li 0.000 0.000 0.196
Co1 Co 0.000 0.000 0.500
O1 O 0.000 0.500 0.142

No. 6
# Li8CoO6, optimized geometry, DFT PBE with a Hubbard U
# E_form ... -1941 meV/atom
# Electronic total energy ... -5.028 eV per atom
# Maximum piezoelectric response ... 0.216 C/m²
data_Li8CoO6
_cell_length_a 5.5561
_cell_length_b 5.5561
_cell_length_c 10.8977
_cell_angle_alpha 90.00
_cell_angle_beta 90.00
_cell_angle_gamma 120.00
_space_group_name_H-M_alt 'P 63 c m'
_space_group_IT_number 185
_space_group_name_Hall 'P 6c -2'
loop_
_atom_site_label
_atom_site_type_symbol
_atom_site_fract_x
_atom_site_fract_y
_atom_site_fract_z
Li1 Li 0.0000 0.3125 0.0000
Li2 Li 0.0000 0.3886 0.3597
Li3 Li 0.3333 0.6667 0.1393
Co1 Co 0.0000 0.0000 0.2283
O1 O 0.0000 0.0000 0.3978
O2 O 0.0000 0.3095 0.1814
O3 O 0.3333 0.6667 0.4490

No. 7
# LiCo2O4, optimized geometry, DFT PBE with a Hubbard U
# E_form ... -1482 meV/atom
# Energy relative to the lowest polymorph listed for this composition ... 32 meV/atom
# Electronic total energy ... -5.753 eV per atom
data_LiCo2O4
_cell_length_a 4.820
_cell_length_b 2.843
_cell_length_c 9.840
_cell_angle_alpha 90.00
_cell_angle_beta 99.58
_cell_angle_gamma 90.00
_space_group_name_H-M_alt 'P 1 2/m 1'
_space_group_IT_number 10
loop_
_space_group_symop_operation_xyz
'x,y,z'
'-x,-y,-z'
'-x,y,-z'
'x,-y,z'
loop_
_atom_site_label
_atom_site_type_symbol
_atom_site_fract_x
_atom_site_fract_y
_atom_site_fract_z
Li1 Li 0.248 0.000 0.251
Co1 Co 0.000 0.000 0.500
Co2 Co 0.000 0.500 0.000
Co3 Co 0.500 0.000 0.000
Co4 Co 0.500 0.500 0.500
O1 O 0.131 0.500 0.396
O2 O 0.135 0.000 0.900
O3 O 0.368 0.000 0.599
O4 O 0.370 0.500 0.104

No. 8
# Li4Co13O28, optimized geometry, DFT PBE with a Hubbard U
# E_form ... -1253 meV/atom
# Energy relative to the lowest polymorph listed for this composition ... 0 meV/atom
# Electronic total energy ... -5.654 eV per atom
data_Li4Co13O28
_cell_length_a 7.447
_cell_length_b 8.226
_cell_length_c 8.516
_cell_angle_alpha 100.71
_cell_angle_beta 104.53
_cell_angle_gamma 105.47
_space_group_name_H-M_alt 'P 1'
_space_group_IT_number 1
loop_
_space_group_symop_operation_xyz
'x,y,z'
loop_
_atom_site_label
_atom_site_type_symbol
_atom_site_fract_x
_atom_site_fract_y
_atom_site_fract_z
Li1 Li 0.000 0.000 0.000
Li2 Li 0.082 0.238 0.784
Li3 Li 0.199 0.652 0.319
Li4 Li 0.780 0.370 0.643
Co1 Co 0.073 0.714 0.780
Co2 Co 0.146 0.937 0.564
Co3 Co 0.223 0.159 0.354
Co4 Co 0.287 0.367 0.132
Co5 Co 0.358 0.582 0.926
Co6 Co 0.432 0.800 0.712
Co7 Co 0.503 0.007 0.491
Co8 Co 0.570 0.211 0.268
Co9 Co 0.648 0.430 0.058
Co10 Co 0.719 0.646 0.853
Co11 Co 0.780 0.853 0.626
Co12 Co 0.854 0.068 0.411
Co13 Co 0.931 0.293 0.196
O1 O 0.026 0.258 0.018
O2 O 0.052 0.940 0.754
O3 O 0.095 0.502 0.787
O4 O 0.127 0.157 0.543
O5 O 0.162 0.718 0.586
O6 O 0.204 0.377 0.326
O7 O 0.231 0.931 0.374
O8 O 0.297 0.140 0.159
O9 O 0.298 0.585 0.123
O10 O 0.344 0.803 0.900
O11 O 0.368 0.357 0.938
O12 O 0.414 0.016 0.682
O13 O 0.445 0.580 0.735
O14 O 0.497 0.230 0.467
O15 O 0.509 0.783 0.514
O16 O 0.561 0.432 0.245
O17 O 0.588 0.994 0.298
O18 O 0.633 0.653 0.040
O19 O 0.657 0.208 0.077
O20 O 0.707 0.427 0.857
O21 O 0.708 0.871 0.824
O22 O 0.780 0.084 0.610
O23 O 0.798 0.632 0.655
O24 O 0.841 0.290 0.391
O25 O 0.872 0.851 0.441
O26 O 0.907 0.501 0.189
O27 O 0.953 0.071 0.227
O28 O 0.982 0.748 0.957

Please write out number 1 again, unchanged.
# Li8Co5O10, optimized geometry, DFT PBE with a Hubbard U
# E_form ... -1712 meV/atom
# Energy relative to the lowest polymorph listed for this composition ... 2 meV/atom
# Electronic total energy ... -5.418 eV per atom
data_Li8Co5O10
_cell_length_a 6.648
_cell_length_b 8.646
_cell_length_c 10.085
_cell_angle_alpha 112.67
_cell_angle_beta 103.37
_cell_angle_gamma 94.82
_space_group_name_H-M_alt 'P -1'
_space_group_IT_number 2
loop_
_space_group_symop_operation_xyz
'x,y,z'
'-x,-y,-z'
loop_
_atom_site_label
_atom_site_type_symbol
_atom_site_fract_x
_atom_site_fract_y
_atom_site_fract_z
Li1 Li 0.045 0.169 0.059
Li2 Li 0.076 0.449 0.257
Li3 Li 0.182 0.341 0.645
Li4 Li 0.189 0.031 0.541
Li5 Li 0.310 0.961 0.947
Li6 Li 0.313 0.658 0.853
Li7 Li 0.420 0.550 0.245
Li8 Li 0.450 0.832 0.447
Co1 Co 0.000 0.500 0.000
Co2 Co 0.099 0.097 0.298
Co3 Co 0.188 0.694 0.592
Co4 Co 0.309 0.306 0.907
Co5 Co 0.400 0.902 0.201
Co6 Co 0.500 0.500 0.500
O1 O 0.011 0.837 0.527
O2 O 0.095 0.771 0.778
O3 O 0.137 0.460 0.850
O4 O 0.186 0.387 0.079
O5 O 0.189 0.991 0.114
O6 O 0.313 0.610 0.421
O7 O 0.331 0.998 0.379
O8 O 0.364 0.537 0.649
O9 O 0.417 0.221 0.724
O10 O 0.494 0.160 0.963